# 1
An optimized crystal structure of Gd2O3. Source: the Materials Project database, functional PBE-GGA.

```
data_Gd2O3
_cell_length_a 5.358
_cell_length_b 5.358
_cell_length_c 5.358
_cell_angle_alpha 90.00
_cell_angle_beta 90.00
_cell_angle_gamma 90.00
_space_group_name_H-M_alt 'P 1'
_space_group_IT_number 1
loop_
_space_group_symop_operation_xyz
'x,y,z'
loop_
_atom_site_label
_atom_site_type_symbol
_atom_site_fract_x
_atom_site_fract_y
_atom_site_fract_z
Gd1 Gd 0.000 0.000 0.000
Gd2 Gd 0.000 0.500 0.500
Gd3 Gd 0.500 0.000 0.500
Gd4 Gd 0.500 0.500 0.000
O1 O 0.250 0.250 0.750
O2 O 0.250 0.750 0.250
O3 O 0.250 0.750 0.750
O4 O 0.750 0.250 0.250
O5 O 0.750 0.250 0.750
O6 O 0.750 0.750 0.250
```

Output
The size of the total moment is 27.9 μB per cell. Its calculated total energy is -11.6448 eV/atom.

***

# 2
An optimized crystal structure of NaSrCeSbO6. Source: the Materials Project database, functional PBE-GGA.

```
data_NaSrCeSbO6
_cell_length_a 5.954
_cell_length_b 5.954
_cell_length_c 5.954
_cell_angle_alpha 60.00
_cell_angle_beta 60.00
_cell_angle_gamma 60.00
_space_group_name_H-M_alt 'P 1'
_space_group_IT_number 1
loop_
_space_group_symop_operation_xyz
'x,y,z'
loop_
_atom_site_label
_atom_site_type_symbol
_atom_site_fract_x
_atom_site_fract_y
_atom_site_fract_z
Na1 Na 0.000 0.000 0.000
Sr1 Sr 0.500 0.500 0.500
Ce1 Ce 0.250 0.250 0.250
Sb1 Sb 0.750 0.750 0.750
O1 O 0.513 0.513 0.987
O2 O 0.513 0.987 0.513
O3 O 0.513 0.987 0.987
O4 O 0.987 0.513 0.513
O5 O 0.987 0.513 0.987
O6 O 0.987 0.987 0.513
```

Output
The size of the total moment is 0.0 μB per cell. Its calculated total energy is -6.6648 eV/atom.

***

# 3
An optimized crystal structure of YClO. Source: the Materials Project database, functional PBE-GGA.

```
data_YClO
_cell_length_a 3.930
_cell_length_b 3.930
_cell_length_c 6.735
_cell_angle_alpha 90.00
_cell_angle_beta 90.00
_cell_angle_gamma 90.00
_space_group_name_H-M_alt 'P 1'
_space_group_IT_number 1
loop_
_space_group_symop_operation_xyz
'x,y,z'
loop_
_atom_site_label
_atom_site_type_symbol
_atom_site_fract_x
_atom_site_fract_y
_atom_site_fract_z
Y1 Y 0.250 0.250 0.167
Y2 Y 0.750 0.750 0.833
Cl1 Cl 0.250 0.250 0.628
Cl2 Cl 0.750 0.750 0.372
O1 O 0.250 0.750 0.000
O2 O 0.750 0.250 0.000
```

Output
The size of the total moment is 0.0 μB per cell. Its calculated total energy is -7.4624 eV/atom.

***

# 4
An optimized crystal structure of CaGa2Cu3Ru2O12. Source: the Materials Project database, functional PBE-GGA.

```
data_CaGa2Cu3Ru2O12
_cell_length_a 7.480
_cell_length_b 7.480
_cell_length_c 7.480
_cell_angle_alpha 90.00
_cell_angle_beta 90.00
_cell_angle_gamma 90.00
_space_group_name_H-M_alt 'P 1'
_space_group_IT_number 1
loop_
_space_group_symop_operation_xyz
'x,y,z'
loop_
_atom_site_label
_atom_site_type_symbol
_atom_site_fract_x
_atom_site_fract_y
_atom_site_fract_z
Ca1 Ca 0.250 0.250 0.250
Ca2 Ca 0.750 0.750 0.750
Ga1 Ga 0.000 0.000 0.000
Ga2 Ga 0.000 0.500 0.500
Ga3 Ga 0.500 0.000 0.500
Ga4 Ga 0.500 0.500 0.000
Cu1 Cu 0.250 0.250 0.750
Cu2 Cu 0.250 0.750 0.250
Cu3 Cu 0.250 0.750 0.750
Cu4 Cu 0.750 0.250 0.250
Cu5 Cu 0.750 0.250 0.750
Cu6 Cu 0.750 0.750 0.250
Ru1 Ru 0.000 0.000 0.500
Ru2 Ru 0.000 0.500 0.000
Ru3 Ru 0.500 0.000 0.000
Ru4 Ru 0.500 0.500 0.500
O1 O 0.057 0.749 0.924
O2 O 0.057 0.751 0.576
O3 O 0.076 0.557 0.249
O4 O 0.076 0.943 0.251
O5 O 0.249 0.076 0.557
O6 O 0.249 0.424 0.943
O7 O 0.251 0.076 0.943
O8 O 0.251 0.424 0.557
O9 O 0.424 0.557 0.251
O10 O 0.424 0.943 0.249
O11 O 0.443 0.749 0.576
O12 O 0.443 0.751 0.924
O13 O 0.557 0.249 0.076
O14 O 0.557 0.251 0.424
O15 O 0.576 0.057 0.751
O16 O 0.576 0.443 0.749
O17 O 0.749 0.576 0.443
O18 O 0.749 0.924 0.057
O19 O 0.751 0.576 0.057
O20 O 0.751 0.924 0.443
O21 O 0.924 0.057 0.749
O22 O 0.924 0.443 0.751
O23 O 0.943 0.249 0.424
O24 O 0.943 0.251 0.076
```

Output
The value obtained for the energy relative to the lowest polymorph listed for this composition is 0.0098 eV per atom. The size of the total moment is 3.8 μB per cell.

***

# 5
An optimized crystal structure of NdCd2Pd. Source: the Materials Project database, functional PBE-GGA.

```
data_NdCd2Pd
_cell_length_a 5.534
_cell_length_b 5.534
_cell_length_c 8.463
_cell_angle_alpha 90.00
_cell_angle_beta 90.00
_cell_angle_gamma 134.22
_space_group_name_H-M_alt 'P 1'
_space_group_IT_number 1
loop_
_space_group_symop_operation_xyz
'x,y,z'
loop_
_atom_site_label
_atom_site_type_symbol
_atom_site_fract_x
_atom_site_fract_y
_atom_site_fract_z
Nd1 Nd 0.065 0.935 0.750
Nd2 Nd 0.935 0.065 0.250
Cd1 Cd 0.356 0.644 0.549
Cd2 Cd 0.356 0.644 0.951
Cd3 Cd 0.644 0.356 0.049
Cd4 Cd 0.644 0.356 0.451
Pd1 Pd 0.224 0.776 0.250
Pd2 Pd 0.776 0.224 0.750
```

Output
Its calculated total energy is -3.4985 eV/atom.

***

# 6
An optimized crystal structure of H3W. Source: the Materials Project database, functional PBE-GGA.

```
data_H3W
_cell_length_a 3.066
_cell_length_b 3.053
_cell_length_c 7.509
_cell_angle_alpha 90.00
_cell_angle_beta 100.96
_cell_angle_gamma 90.00
_space_group_name_H-M_alt 'P 1'
_space_group_IT_number 1
loop_
_space_group_symop_operation_xyz
'x,y,z'
loop_
_atom_site_label
_atom_site_type_symbol
_atom_site_fract_x
_atom_site_fract_y
_atom_site_fract_z
H1 H 0.070 0.250 0.219
H2 H 0.390 0.250 0.780
H3 H 0.405 0.750 0.620
H4 H 0.595 0.250 0.380
H5 H 0.610 0.750 0.220
H6 H 0.930 0.750 0.781
W1 W 0.180 0.750 0.379
W2 W 0.820 0.250 0.621
```

Output
The value obtained for the energy relative to the lowest polymorph listed for this composition is 0.0000 eV per atom. The size of the total moment is 0.0 μB per cell.

***

# 7
An optimized crystal structure of NaCaNb3P6O24. Source: the Materials Project database, functional PBE-GGA.

```
data_NaCaNb3P6O24
_cell_length_a 8.896
_cell_length_b 8.896
_cell_length_c 23.137
_cell_angle_alpha 90.00
_cell_angle_beta 90.00
_cell_angle_gamma 120.00
_space_group_name_H-M_alt 'P 1'
_space_group_IT_number 1
loop_
_space_group_symop_operation_xyz
'x,y,z'
loop_
_atom_site_label
_atom_site_type_symbol
_atom_site_fract_x
_atom_site_fract_y
_atom_site_fract_z
Na1 Na 0.000 0.000 0.000
Na2 Na 0.000 0.000 0.498
Na3 Na 0.333 0.667 0.144
Ca1 Ca 0.000 0.000 0.135
Ca2 Ca 0.000 0.000 0.637
Ca3 Ca 0.333 0.667 0.011
Nb1 Nb 0.000 0.000 0.342
Nb2 Nb 0.000 0.000 0.841
Nb3 Nb 0.333 0.667 0.305
Nb4 Nb 0.333 0.667 0.517
Nb5 Nb 0.333 0.667 0.807
Nb6 Nb 0.667 0.333 0.178
Nb7 Nb 0.667 0.333 0.466
Nb8 Nb 0.667 0.333 0.684
Nb9 Nb 0.667 0.333 0.967
P1 P 0.000 0.706 0.242
P2 P 0.005 0.296 0.740
P3 P 0.040 0.670 0.907
P4 P 0.051 0.379 0.409
P5 P 0.291 0.995 0.740
P6 P 0.294 0.294 0.242
P7 P 0.328 0.949 0.409
P8 P 0.330 0.370 0.907
P9 P 0.385 0.051 0.073
P10 P 0.389 0.337 0.572
P11 P 0.621 0.672 0.409
P12 P 0.630 0.960 0.907
P13 P 0.663 0.052 0.572
P14 P 0.666 0.615 0.073
P15 P 0.704 0.709 0.740
P16 P 0.706 0.000 0.242
P17 P 0.948 0.611 0.572
P18 P 0.949 0.334 0.073
O1 O 0.009 0.824 0.890
O2 O 0.029 0.196 0.400
O3 O 0.047 0.236 0.686
O4 O 0.052 0.817 0.189
O5 O 0.119 0.502 0.078
O6 O 0.129 0.620 0.562
O7 O 0.135 0.643 0.855
O8 O 0.136 0.493 0.356
O9 O 0.146 0.719 0.961
O10 O 0.153 0.479 0.758
O11 O 0.156 0.677 0.259
O12 O 0.167 0.466 0.463
O13 O 0.167 0.971 0.400
O14 O 0.176 0.185 0.890
O15 O 0.183 0.235 0.189
O16 O 0.189 0.953 0.686
O17 O 0.195 0.172 0.296
O18 O 0.202 0.030 0.792
O19 O 0.210 0.181 0.570
O20 O 0.215 0.049 0.071
O21 O 0.281 0.428 0.961
O22 O 0.299 0.833 0.463
O23 O 0.323 0.479 0.259
O24 O 0.327 0.847 0.758
O25 O 0.357 0.492 0.855
O26 O 0.358 0.864 0.356
O27 O 0.380 0.509 0.562
O28 O 0.384 0.881 0.078
O29 O 0.474 0.311 0.237
O30 O 0.476 0.164 0.731
O31 O 0.489 0.329 0.517
O32 O 0.490 0.132 0.418
O33 O 0.490 0.157 0.130
O34 O 0.491 0.156 0.018
O35 O 0.491 0.871 0.562
O36 O 0.494 0.352 0.913
O37 O 0.497 0.361 0.627
O38 O 0.498 0.616 0.078
O39 O 0.507 0.642 0.356
O40 O 0.508 0.865 0.855
O41 O 0.521 0.673 0.758
O42 O 0.521 0.844 0.259
O43 O 0.534 0.701 0.463
O44 O 0.572 0.854 0.961
O45 O 0.639 0.136 0.627
O46 O 0.642 0.510 0.418
O47 O 0.648 0.142 0.913
O48 O 0.665 0.509 0.018
O49 O 0.667 0.510 0.130
O50 O 0.671 0.160 0.517
O51 O 0.687 0.524 0.731
O52 O 0.689 0.163 0.237
O53 O 0.764 0.811 0.686
O54 O 0.765 0.948 0.189
O55 O 0.804 0.833 0.400
O56 O 0.815 0.991 0.890
O57 O 0.819 0.029 0.570
O58 O 0.828 0.023 0.296
O59 O 0.828 0.798 0.792
O60 O 0.834 0.785 0.071
O61 O 0.836 0.313 0.731
O62 O 0.837 0.526 0.237
O63 O 0.840 0.511 0.517
O64 O 0.843 0.333 0.130
O65 O 0.844 0.335 0.018
O66 O 0.858 0.506 0.913
O67 O 0.864 0.503 0.627
O68 O 0.868 0.358 0.418
O69 O 0.951 0.166 0.071
O70 O 0.970 0.172 0.792
O71 O 0.971 0.790 0.570
O72 O 0.977 0.805 0.296
```

Output
The size of the total moment is 0.0 μB per cell. Its calculated total energy is -7.7041 eV/atom.

***

# 8
An optimized crystal structure of TiSiGeS2O12. Source: the Materials Project database, functional PBE-GGA.

```
data_TiSiGeS2O12
_cell_length_a 8.542
_cell_length_b 8.543
_cell_length_c 22.128
_cell_angle_alpha 89.81
_cell_angle_beta 89.82
_cell_angle_gamma 60.11
_space_group_name_H-M_alt 'P 1'
_space_group_IT_number 1
loop_
_space_group_symop_operation_xyz
'x,y,z'
loop_
_atom_site_label
_atom_site_type_symbol
_atom_site_fract_x
_atom_site_fract_y
_atom_site_fract_z
Ti1 Ti 0.000 0.000 0.000
Ti2 Ti 0.001 0.005 0.502
Ti3 Ti 0.299 0.340 0.334
Ti4 Ti 0.315 0.346 0.547
Ti5 Ti 0.648 0.681 0.167
Ti6 Ti 0.987 0.031 0.213
Si1 Si 0.271 0.024 0.105
Si2 Si 0.276 0.725 0.611
Si3 Si 0.323 0.050 0.441
Si4 Si 0.324 0.626 0.940
Si5 Si 0.922 0.405 0.276
Si6 Si 0.925 0.683 0.774
Ge1 Ge 0.294 0.371 0.835
Ge2 Ge 0.316 0.351 0.044
Ge3 Ge 0.642 0.679 0.379
Ge4 Ge 0.642 0.688 0.878
Ge5 Ge 0.648 0.680 0.670
Ge6 Ge 0.981 0.994 0.713
S1 S 0.018 0.637 0.440
S2 S 0.021 0.353 0.940
S3 S 0.352 0.977 0.775
S4 S 0.357 0.681 0.274
S5 S 0.595 0.064 0.939
S6 S 0.599 0.350 0.440
S7 S 0.646 0.389 0.774
S8 S 0.646 0.968 0.274
S9 S 0.687 0.303 0.106
S10 S 0.691 0.014 0.608
S11 S 0.974 0.304 0.609
S12 S 0.981 0.726 0.107
O1 O 0.008 0.190 0.664
O2 O 0.009 0.807 0.161
O3 O 0.100 0.387 0.994
O4 O 0.100 0.525 0.494
O5 O 0.121 0.381 0.283
O6 O 0.123 0.503 0.782
O7 O 0.134 0.323 0.601
O8 O 0.134 0.561 0.386
O9 O 0.137 0.042 0.449
O10 O 0.139 0.309 0.885
O11 O 0.140 0.054 0.164
O12 O 0.140 0.818 0.667
O13 O 0.141 0.545 0.099
O14 O 0.141 0.824 0.950
O15 O 0.169 0.999 0.766
O16 O 0.172 0.987 0.049
O17 O 0.175 0.841 0.266
O18 O 0.178 0.853 0.551
O19 O 0.276 0.544 0.882
O20 O 0.281 0.184 0.382
O21 O 0.286 0.203 0.094
O22 O 0.289 0.532 0.595
O23 O 0.340 0.154 0.784
O24 O 0.341 0.520 0.283
O25 O 0.346 0.152 0.499
O26 O 0.350 0.507 0.001
O27 O 0.427 0.859 0.829
O28 O 0.430 0.723 0.329
O29 O 0.461 0.845 0.119
O30 O 0.466 0.898 0.720
O31 O 0.469 0.652 0.221
O32 O 0.473 0.707 0.621
O33 O 0.480 0.139 0.994
O34 O 0.484 0.385 0.495
O35 O 0.485 0.366 0.782
O36 O 0.487 0.150 0.282
O37 O 0.494 0.658 0.928
O38 O 0.495 0.854 0.428
O39 O 0.505 0.322 0.101
O40 O 0.510 0.175 0.601
O41 O 0.514 0.177 0.884
O42 O 0.517 0.322 0.386
O43 O 0.604 0.507 0.719
O44 O 0.607 0.891 0.220
O45 O 0.612 0.882 0.933
O46 O 0.615 0.515 0.434
O47 O 0.666 0.484 0.115
O48 O 0.671 0.852 0.616
O49 O 0.679 0.856 0.329
O50 O 0.680 0.468 0.828
O51 O 0.765 0.056 0.663
O52 O 0.765 0.191 0.161
O53 O 0.772 0.047 0.948
O54 O 0.777 0.190 0.450
O55 O 0.798 0.223 0.052
O56 O 0.798 0.492 0.335
O57 O 0.798 0.718 0.834
O58 O 0.801 0.984 0.554
O59 O 0.807 0.985 0.265
O60 O 0.811 0.211 0.764
O61 O 0.811 0.485 0.615
O62 O 0.818 0.708 0.114
O63 O 0.833 0.524 0.216
O64 O 0.834 0.647 0.714
O65 O 0.839 0.655 0.433
O66 O 0.841 0.514 0.932
O67 O 0.940 0.225 0.555
O68 O 0.943 0.863 0.766
O69 O 0.944 0.841 0.052
O70 O 0.945 0.204 0.266
O71 O 0.995 0.820 0.449
O72 O 0.998 0.194 0.948
```

Output
The size of the total moment is 0.0 μB per cell. Its calculated total energy is -6.8830 eV/atom.

***

# 9
An optimized crystal structure of Co4RuN4. Source: the Materials Project database, functional PBE-GGA.

```
data_Co4RuN4
_cell_length_a 4.679
_cell_length_b 4.797
_cell_length_c 8.161
_cell_angle_alpha 89.64
_cell_angle_beta 75.00
_cell_angle_gamma 73.95
_space_group_name_H-M_alt 'P 1'
_space_group_IT_number 1
loop_
_space_group_symop_operation_xyz
'x,y,z'
loop_
_atom_site_label
_atom_site_type_symbol
_atom_site_fract_x
_atom_site_fract_y
_atom_site_fract_z
Co1 Co 0.030 0.277 0.365
Co2 Co 0.258 0.240 0.937
Co3 Co 0.410 0.713 0.784
Co4 Co 0.460 0.247 0.561
Co5 Co 0.540 0.753 0.439
Co6 Co 0.590 0.287 0.216
Co7 Co 0.742 0.760 0.063
Co8 Co 0.970 0.723 0.635
Ru1 Ru 0.161 0.770 0.226
Ru2 Ru 0.839 0.230 0.774
N1 N 0.177 0.642 0.991
N2 N 0.237 0.962 0.636
N3 N 0.260 0.528 0.413
N4 N 0.344 0.094 0.142
N5 N 0.656 0.906 0.858
N6 N 0.740 0.472 0.587
N7 N 0.763 0.038 0.364
N8 N 0.823 0.358 0.009
```

Output
The size of the total moment is 0.0 μB per cell. Its calculated total energy is -7.5470 eV/atom.

***

# 10
An optimized crystal structure of Na7Al3O8. Source: the Materials Project database, functional PBE-GGA.

```
data_Na7Al3O8
_cell_length_a 5.919
_cell_length_b 8.036
_cell_length_c 11.409
_cell_angle_alpha 69.46
_cell_angle_beta 89.77
_cell_angle_gamma 71.09
_space_group_name_H-M_alt 'P 1'
_space_group_IT_number 1
loop_
_space_group_symop_operation_xyz
'x,y,z'
loop_
_atom_site_label
_atom_site_type_symbol
_atom_site_fract_x
_atom_site_fract_y
_atom_site_fract_z
Na1 Na 0.029 0.208 0.229
Na2 Na 0.053 0.193 0.738
Na3 Na 0.128 0.588 0.056
Na4 Na 0.159 0.598 0.552
Na5 Na 0.223 0.017 0.052
Na6 Na 0.245 0.991 0.556
Na7 Na 0.349 0.400 0.833
Na8 Na 0.651 0.600 0.167
Na9 Na 0.755 0.009 0.444
Na10 Na 0.777 0.983 0.948
Na11 Na 0.841 0.402 0.448
Na12 Na 0.872 0.412 0.944
Na13 Na 0.947 0.807 0.262
Na14 Na 0.971 0.792 0.771
Al1 Al 0.335 0.406 0.341
Al2 Al 0.431 0.800 0.364
Al3 Al 0.459 0.824 0.854
Al4 Al 0.541 0.176 0.146
Al5 Al 0.569 0.200 0.636
Al6 Al 0.665 0.594 0.659
O1 O 0.036 0.490 0.269
O2 O 0.139 0.905 0.396
O3 O 0.180 0.867 0.918
O4 O 0.279 0.300 0.036
O5 O 0.346 0.267 0.505
O6 O 0.432 0.597 0.334
O7 O 0.450 0.716 0.740
O8 O 0.479 0.057 0.772
O9 O 0.521 0.943 0.228
O10 O 0.550 0.284 0.260
O11 O 0.568 0.403 0.666
O12 O 0.654 0.733 0.495
O13 O 0.721 0.700 0.964
O14 O 0.820 0.133 0.082
O15 O 0.861 0.095 0.604
O16 O 0.964 0.510 0.731
```

Output
The value obtained for the energy relative to the lowest polymorph listed for this composition is 0.0000 eV per atom.